(1)
C, optimized geometry, DFT PBE; space-group type = Pmmm; offset from the most stable computed form = 643 meV/atom
1.0
2.606 0.000 0.000
0.000 3.425 0.000
0.000 0.000 5.232
C
6
direct
0.500 0.500 0.217 C
0.500 0.500 0.783 C
0.000 0.500 0.628 C
0.000 0.500 0.372 C
0.500 0.806 0.000 C
0.500 0.194 0.000 C

***

(2)
C, optimized geometry, DFT PBE; space-group type = Immm; offset from the most stable computed form = 396 meV/atom
1.0
-4.564 4.585 7.585
4.564 -4.585 7.585
4.564 4.585 -7.585
C
60
direct
0.236 0.701 0.034 C
0.333 0.798 0.034 C
0.360 0.947 0.413 C
0.917 0.089 0.669 C
0.082 0.590 0.827 C
0.918 0.410 0.173 C
0.580 0.752 0.669 C
0.324 0.352 0.283 C
0.667 0.701 0.465 C
0.764 0.798 0.465 C
0.069 0.041 0.717 C
0.931 0.648 0.971 C
0.770 0.566 0.635 C
0.640 0.053 0.587 C
0.466 0.053 0.413 C
0.775 0.698 0.924 C
0.082 0.255 0.492 C
0.917 0.248 0.828 C
0.931 0.959 0.283 C
0.667 0.202 0.966 C
0.534 0.947 0.587 C
0.676 0.648 0.717 C
0.239 0.034 0.463 C
0.912 0.588 0.500 C
0.324 0.041 0.971 C
0.088 0.412 0.500 C
0.931 0.135 0.365 C
0.069 0.352 0.029 C
0.676 0.959 0.029 C
0.761 0.966 0.537 C
0.430 0.966 0.205 C
0.239 0.776 0.205 C
0.420 0.248 0.331 C
0.083 0.911 0.331 C
0.761 0.224 0.795 C
0.918 0.745 0.508 C
0.237 0.745 0.827 C
0.069 0.865 0.635 C
0.088 0.588 0.676 C
0.333 0.299 0.535 C
0.931 0.566 0.796 C
0.420 0.089 0.172 C
0.430 0.224 0.463 C
0.570 0.776 0.537 C
0.237 0.410 0.492 C
0.763 0.255 0.173 C
0.230 0.865 0.796 C
0.570 0.034 0.795 C
0.230 0.434 0.365 C
0.580 0.911 0.828 C
0.770 0.135 0.204 C
0.775 0.851 0.076 C
0.763 0.590 0.508 C
0.225 0.302 0.076 C
0.069 0.434 0.204 C
0.764 0.299 0.966 C
0.912 0.412 0.324 C
0.083 0.752 0.172 C
0.236 0.202 0.535 C
0.225 0.149 0.924 C

***

(3)
C, optimized geometry, DFT PBE; space-group type = R-3m; offset from the most stable computed form = 30 meV/atom
1.0
19.101 -1.235 0.000
19.101 1.235 0.000
19.022 0.000 2.137
C
8
direct
0.032 0.032 0.032 C
0.905 0.905 0.905 C
0.761 0.761 0.761 C
0.095 0.095 0.095 C
0.968 0.968 0.968 C
0.365 0.365 0.365 C
0.239 0.239 0.239 C
0.635 0.635 0.635 C

***

(4)
C, optimized geometry, DFT PBE; space-group type = P6_3/mmc; offset from the most stable computed form = 163 meV/atom
1.0
2.438 -0.545 -0.276
-1.695 -0.997 -1.564
0.441 3.273 -2.565
C
4
direct
0.333 0.667 0.937 C
0.667 0.333 0.437 C
0.667 0.333 0.063 C
0.333 0.667 0.563 C

***

(5)
C, optimized geometry, DFT PBE; space-group type = P1; offset from the most stable computed form = 935 meV/atom
1.0
-4.582 -2.207 -8.898
6.087 -9.022 -0.653
-6.651 -5.875 4.871
C
100
direct
0.881 0.107 0.226 C
0.722 0.055 0.911 C
0.869 0.800 0.010 C
0.924 0.822 0.128 C
0.336 0.462 0.464 C
0.902 0.755 0.617 C
0.737 0.594 0.647 C
0.874 0.229 0.792 C
0.453 0.656 0.769 C
0.911 0.188 0.667 C
0.264 0.673 0.911 C
0.112 0.044 0.976 C
0.372 0.617 0.260 C
0.345 0.063 0.270 C
0.810 0.386 0.561 C
0.582 0.302 0.240 C
0.257 0.708 0.046 C
0.410 0.161 0.187 C
0.231 0.265 0.410 C
0.040 0.614 0.383 C
0.925 0.541 0.354 C
0.302 0.459 0.831 C
0.871 0.807 0.495 C
0.680 0.176 0.917 C
0.582 0.830 0.247 C
0.292 0.344 0.505 C
0.667 0.541 0.076 C
0.266 0.085 0.730 C
0.861 0.559 0.233 C
0.787 0.823 0.907 C
0.384 0.388 0.746 C
0.225 0.376 0.045 C
0.120 0.075 0.766 C
0.233 0.317 0.280 C
0.359 0.579 0.879 C
0.373 0.932 0.288 C
0.452 0.834 0.286 C
0.485 0.789 0.792 C
0.070 0.998 0.103 C
0.768 0.551 0.150 C
0.086 0.110 0.530 C
0.252 0.903 0.363 C
0.826 0.161 0.332 C
0.745 0.946 0.900 C
0.583 0.444 0.883 C
0.627 0.384 0.338 C
0.656 0.554 0.561 C
0.664 0.381 0.777 C
0.797 0.696 0.705 C
0.368 0.554 0.547 C
0.699 0.826 0.225 C
0.350 0.632 0.124 C
0.324 0.310 0.646 C
0.810 0.234 0.432 C
0.029 0.114 0.648 C
0.661 0.233 0.153 C
0.145 0.843 0.905 C
0.075 0.204 0.156 C
0.378 0.720 0.354 C
0.446 0.286 0.225 C
0.869 0.829 0.371 C
0.336 0.434 0.095 C
0.544 0.483 0.368 C
0.596 0.190 0.035 C
0.136 0.733 0.707 C
0.238 0.775 0.384 C
0.859 0.446 0.434 C
0.121 0.965 0.873 C
0.176 0.134 0.436 C
0.727 0.453 0.652 C
0.163 0.295 0.158 C
0.076 0.146 0.888 C
0.753 0.362 0.400 C
0.032 0.744 0.647 C
0.454 0.656 0.481 C
0.588 0.718 0.809 C
0.162 0.804 0.045 C
0.567 0.573 0.456 C
0.009 0.097 0.168 C
0.768 0.172 0.205 C
0.355 0.390 0.238 C
0.066 0.868 0.124 C
0.414 0.538 0.025 C
0.417 0.634 0.629 C
0.836 0.827 0.241 C
0.482 0.137 0.079 C
0.566 0.510 0.000 C
0.401 0.489 0.324 C
0.847 0.251 0.561 C
0.425 0.900 0.768 C
0.192 0.748 0.828 C
0.218 0.387 0.907 C
0.968 0.218 0.890 C
0.311 0.195 0.691 C
0.736 0.266 0.827 C
0.351 0.985 0.744 C
0.129 0.691 0.392 C
0.732 0.737 0.810 C
0.514 0.389 0.790 C
0.236 0.043 0.358 C

***

(6)
CaC2, optimized geometry, DFT PBE; space-group type = C2/m; offset from the most stable computed form = 0 meV/atom
1.0
1.921 3.584 0.000
-1.921 3.584 0.000
0.000 2.168 7.147
Ca C
2 4
direct
0.204 0.204 0.753 Ca
0.796 0.796 0.247 Ca
0.921 0.921 0.565 C
0.079 0.079 0.435 C
0.547 0.547 0.060 C
0.453 0.453 0.940 C

***

(7)
CaC2, optimized geometry, DFT PBE; space-group type = C2/c; offset from the most stable computed form = 1 meV/atom
1.0
2.081 3.314 0.000
-2.081 3.314 0.000
0.000 2.218 7.117
Ca C
2 4
direct
0.177 0.823 0.250 Ca
0.823 0.177 0.750 Ca
0.421 0.138 0.439 C
0.862 0.579 0.061 C
0.138 0.421 0.939 C
0.579 0.862 0.561 C

***

(8)
CaC2, optimized geometry, DFT PBE; space-group type = C2/m; offset from the most stable computed form = 969 meV/atom
1.0
-4.038 0.045 1.872
-1.032 -2.335 3.646
0.690 4.938 5.455
Ca C
2 4
direct
0.694 0.694 0.721 Ca
0.306 0.306 0.279 Ca
0.427 0.427 0.571 C
0.573 0.573 0.429 C
0.032 0.032 0.575 C
0.968 0.968 0.425 C

***

(9)
CaC2, optimized geometry, DFT PBE; space-group type = R-3m; offset from the most stable computed form = 191 meV/atom
1.0
-1.246 -1.743 2.816
-1.030 -2.777 -1.934
3.042 -1.730 0.515
Ca C
1 2
direct
0.000 0.000 0.000 Ca
0.598 0.598 0.598 C
0.402 0.402 0.402 C

***

(10)
CaC2, optimized geometry, DFT PBE; space-group type = R-3m; offset from the most stable computed form = 41 meV/atom
1.0
-2.750 0.000 -2.750
2.750 -2.750 0.000
-3.199 -3.199 0.450
Ca C
1 2
direct
0.000 0.000 0.000 Ca
0.894 0.447 0.659 C
0.106 0.553 0.341 C

***

(11)
CaC, optimized geometry, DFT PBE; space-group type = Fm-3m
1.0
1.474 0.505 3.401
-1.569 2.425 2.378
-1.808 -1.252 3.027
Ca C
1 1
direct
0.000 0.000 0.000 Ca
0.500 0.500 0.500 C

***

(12)
CaC2, optimized geometry, DFT PBE; space-group type = Cmcm; offset from the most stable computed form = 5 meV/atom
1.0
1.874 -4.369 0.000
1.874 4.369 0.000
0.000 0.000 4.777
Ca C
2 4
direct
0.854 0.146 0.250 Ca
0.146 0.854 0.750 Ca
0.561 0.439 0.396 C
0.439 0.561 0.604 C
0.561 0.439 0.104 C
0.439 0.561 0.896 C

***

(13)
CaC6, optimized geometry, DFT PBE; space-group type = P-1
1.0
0.561 -0.908 -3.417
6.892 3.580 -0.118
2.034 -3.369 4.264
Ca C
1 6
direct
0.000 0.000 0.000 Ca
0.163 0.999 0.617 C
0.837 0.001 0.383 C
0.123 0.501 0.624 C
0.877 0.499 0.376 C
0.625 0.500 0.125 C
0.375 0.500 0.875 C

***

(14)
CaC2, optimized geometry, DFT PBE; space-group type = Immm; offset from the most stable computed form = 203 meV/atom
1.0
-1.342 3.252 3.683
1.342 -3.252 3.683
1.342 3.252 -3.683
Ca C
2 4
direct
0.706 0.706 0.000 Ca
0.294 0.294 0.000 Ca
0.232 0.000 0.232 C
0.768 0.000 0.768 C
0.888 0.500 0.388 C
0.112 0.500 0.612 C

***

(15)
CaC2, optimized geometry, DFT PBE; space-group type = P-1; offset from the most stable computed form = 10 meV/atom
1.0
-3.931 0.000 0.000
1.957 3.454 0.000
-0.579 -1.336 -7.306
Ca C
2 4
direct
0.771 0.964 0.246 Ca
0.229 0.036 0.754 Ca
0.871 0.430 0.938 C
0.129 0.570 0.062 C
0.554 0.636 0.569 C
0.446 0.364 0.431 C

***

(16)
CaC2, optimized geometry, DFT PBE; space-group type = P6/mmm; offset from the most stable computed form = 730 meV/atom
1.0
1.388 -2.405 0.000
1.388 2.405 0.000
0.000 0.000 4.183
Ca C
1 2
direct
0.000 0.000 0.000 Ca
0.667 0.333 0.500 C
0.333 0.667 0.500 C

***

(17)
CaC2, optimized geometry, DFT PBE; offset from the most stable computed form = 2 meV/atom
1.0
3.790 0.000 0.000
0.000 4.887 0.000
0.000 0.000 5.360
Ca C
2 4
direct
0.000 0.000 0.000 Ca
0.500 0.500 0.500 Ca
0.000 0.871 0.501 C
0.500 0.629 0.001 C
0.500 0.371 0.999 C
0.000 0.129 0.499 C

***

(18)
CaC2, optimized geometry, DFT PBE; space-group type = Pnnm; offset from the most stable computed form = 54 meV/atom
1.0
-3.885 0.301 -0.068
-0.329 -3.705 2.364
0.158 3.165 4.982
Ca C
2 4
direct
0.000 0.000 0.000 Ca
0.500 0.500 0.500 Ca
0.000 0.887 0.564 C
0.500 0.613 0.064 C
0.500 0.387 0.936 C
0.000 0.113 0.436 C

***

(19)
CaC2, optimized geometry, DFT PBE; space-group type = I4/mmm; offset from the most stable computed form = 8 meV/atom
1.0
-1.374 -3.531 0.864
4.158 0.612 0.375
-2.292 1.559 2.725
Ca C
1 2
direct
0.000 0.000 0.000 Ca
0.599 0.197 0.599 C
0.401 0.803 0.401 C

***

(20)
CaC2, optimized geometry, DFT PBE; space-group type = Pn-3m; offset from the most stable computed form = 750 meV/atom
1.0
-3.502 -4.294 -2.505
2.907 0.716 -5.292
4.033 -4.245 1.641
Ca C
4 8
direct
0.750 0.750 0.250 Ca
0.250 0.250 0.250 Ca
0.750 0.250 0.750 Ca
0.250 0.750 0.750 Ca
0.091 0.909 0.091 C
0.591 0.409 0.409 C
0.591 0.591 0.591 C
0.909 0.091 0.091 C
0.091 0.091 0.909 C
0.409 0.409 0.591 C
0.909 0.909 0.909 C
0.409 0.591 0.409 C

***

| no. | formation energy from the elements (eV per atom) |
| --- | --- |
| 1 | 0.643 |
| 2 | 0.396 |
| 3 | 0.030 |
| 4 | 0.163 |
| 5 | 0.935 |
| 6 | 0.014 |
| 7 | 0.015 |
| 8 | 0.984 |
| 9 | 0.205 |
| 10 | 0.056 |
| 11 | 1.136 |
| 12 | 0.020 |
| 13 | 0.756 |
| 14 | 0.218 |
| 15 | 0.025 |
| 16 | 0.745 |
| 17 | 0.016 |
| 18 | 0.069 |
| 19 | 0.022 |
| 20 | 0.764 |